Below is RbTe3Mo3 after structural relaxation, with properties calculated at the r2SCAN level. Values from VASP.

Values from the calculation:
As for the energy of formation from the pure elements: -594.0 meV per atom. As for the final energy: -24.65 eV per atom.

```
&SYSTEM
  ibrav = 0, nat = 14, ntyp = 3
/
ATOMIC_SPECIES
Te 127.60 Te.upf
Mo 95.94 Mo.upf
Rb 85.47 Rb.upf
CELL_PARAMETERS angstrom
10.043 0.000 0.000
-5.021 8.698 0.000
0.000 0.000 4.607
ATOMIC_POSITIONS crystal
Te 0.297 0.348 0.750
Te 0.348 0.051 0.250
Te 0.949 0.296 0.250
Te 0.703 0.652 0.250
Te 0.051 0.703 0.750
Te 0.652 0.949 0.750
Mo 0.163 0.024 0.750
Mo 0.024 0.862 0.250
Mo 0.976 0.138 0.750
Mo 0.862 0.837 0.750
Mo 0.837 0.976 0.250
Mo 0.138 0.163 0.250
Rb 0.667 0.333 0.750
Rb 0.333 0.667 0.250
```